Computed, not measured: crystalline Dy4Ge6Ir7 at its relaxed geometry at the meta-GGA r2SCAN level of DFT.

a = 7.2338 Å, b = 7.2338 Å, c = 7.2338 Å
α = 109.47°, β = 109.47°, γ = 109.47°
Element x y z (fractional)
Dy 0.0000 0.0000 0.5000
Dy 0.0000 0.5000 0.0000
Dy 0.5000 0.0000 0.0000
Dy 0.5000 0.5000 0.5000
Ge 0.6807 0.6807 0.0000
Ge 0.3193 0.0000 0.3193
Ge 0.0000 0.3193 0.3193
Ge 0.3193 0.3193 0.0000
Ge 0.6807 0.0000 0.6807
Ge 0.0000 0.6807 0.6807
Ir 0.7500 0.2500 0.5000
Ir 0.7500 0.5000 0.2500
Ir 0.5000 0.2500 0.7500
Ir 0.2500 0.5000 0.7500
Ir 0.2500 0.7500 0.5000
Ir 0.5000 0.7500 0.2500
Ir 0.0000 0.0000 0.0000

Output
Calculated total energy in eV for the cell shown: -594.3
Space group: No. 229